# 1
Below is crystalline K2Si2Pb2O at its relaxed geometry, with properties calculated at the GGA-PBE level.

Summary:
- DFT total energy (eV per atom) = -3.77
- ΔE_f (eV per atom) = -0.2352
- SG = P6/mmm

Unit cell a=5.545 b=5.545 c=6.723 alpha=90.00 beta=90.00 gamma=120.00
Sites, in units of the cell vectors:
K 0.333 0.667 0.000
K 0.667 0.333 0.000
Si 0.000 0.000 0.267
Si 0.000 0.000 0.733
Pb 0.333 0.667 0.500
Pb 0.667 0.333 0.500
O 0.000 0.000 0.000

***

# 2
Below is crystalline KTa5Pb2O15 at its relaxed geometry, with properties calculated at the GGA-PBE level.

Summary:
- DFT total energy (eV per atom) = -8.74
- ΔE_f (eV per atom) = -3.0166
- SG = Pmc2_1

Unit cell a=3.972 b=12.730 c=12.761 alpha=90.00 beta=90.00 gamma=90.00
Sites, in units of the cell vectors:
K 0.000 0.077 0.000
K 0.000 0.923 0.500
Ta 0.500 0.038 0.246
Ta 0.500 0.174 0.532
Ta 0.500 0.247 0.829
Ta 0.500 0.330 0.113
Ta 0.500 0.464 0.400
Ta 0.500 0.536 0.900
Ta 0.500 0.670 0.613
Ta 0.500 0.753 0.329
Ta 0.500 0.826 0.032
Ta 0.500 0.962 0.746
Pb 0.000 0.253 0.319
Pb 0.000 0.380 0.655
Pb 0.000 0.620 0.155
Pb 0.000 0.747 0.819
O 0.000 0.047 0.250
O 0.000 0.181 0.535
O 0.000 0.257 0.813
O 0.000 0.325 0.122
O 0.000 0.454 0.401
O 0.000 0.546 0.901
O 0.000 0.675 0.622
O 0.000 0.743 0.313
O 0.000 0.819 0.035
O 0.000 0.953 0.750
O 0.500 0.040 0.614
O 0.500 0.096 0.827
O 0.500 0.109 0.395
O 0.500 0.182 0.186
O 0.500 0.251 0.979
O 0.500 0.263 0.667
O 0.500 0.318 0.465
O 0.500 0.386 0.259
O 0.500 0.407 0.818
O 0.500 0.465 0.040
O 0.500 0.535 0.540
O 0.500 0.593 0.318
O 0.500 0.614 0.759
O 0.500 0.682 0.965
O 0.500 0.737 0.167
O 0.500 0.749 0.479
O 0.500 0.818 0.686
O 0.500 0.891 0.895
O 0.500 0.904 0.327
O 0.500 0.960 0.114

***

# 3
Below is crystalline K2PdO4 at its relaxed geometry, with properties calculated at the GGA-PBE level.

Summary:
- DFT total energy (eV per atom) = -4.46
- ΔE_f (eV per atom) = -0.9725
- SG = P2_1/c

Unit cell a=5.441 b=6.836 c=7.304 alpha=90.00 beta=107.52 gamma=90.00
Sites, in units of the cell vectors:
K 0.172 0.054 0.330
K 0.172 0.446 0.830
K 0.828 0.554 0.170
K 0.828 0.946 0.670
Pd 0.500 0.000 0.000
Pd 0.500 0.500 0.500
O 0.224 0.674 0.494
O 0.224 0.826 0.994
O 0.339 0.067 0.738
O 0.339 0.433 0.238
O 0.661 0.567 0.762
O 0.661 0.933 0.262
O 0.776 0.174 0.006
O 0.776 0.326 0.506

***

# 4
Below is crystalline K2PdO4 at its relaxed geometry, with properties calculated at the GGA-PBE level.

Summary:
- DFT total energy (eV per atom) = -4.46
- ΔE_f (eV per atom) = -0.9729
- SG = P1

Unit cell a=5.336 b=6.925 c=7.332 alpha=87.70 beta=73.30 gamma=87.24
Sites, in units of the cell vectors:
K 0.000 0.000 0.000
K 0.011 0.379 0.498
K 0.649 0.499 0.165
K 0.668 0.873 0.672
Pd 0.328 0.439 0.831
Pd 0.343 0.948 0.340
O 0.040 0.614 0.838
O 0.085 0.766 0.333
O 0.166 0.001 0.597
O 0.175 0.366 0.090
O 0.477 0.871 0.080
O 0.494 0.510 0.574
O 0.615 0.117 0.319
O 0.616 0.262 0.827

***

# 5
Below is crystalline K2PdO4 at its relaxed geometry, with properties calculated at the GGA-PBE level.

Summary:
- DFT total energy (eV per atom) = -4.47
- ΔE_f (eV per atom) = -0.9747
- SG = P2_1

Unit cell a=5.377 b=6.928 c=7.296 alpha=90.00 beta=107.23 gamma=90.00
Sites, in units of the cell vectors:
K 0.171 0.000 0.088
K 0.179 0.621 0.579
K 0.821 0.121 0.421
K 0.829 0.500 0.912
Pd 0.489 0.072 0.759
Pd 0.511 0.572 0.241
O 0.208 0.240 0.742
O 0.246 0.390 0.253
O 0.328 0.632 0.984
O 0.352 0.992 0.497
O 0.648 0.492 0.503
O 0.672 0.132 0.016
O 0.754 0.890 0.747
O 0.792 0.740 0.258

***

# 6
Below is crystalline KPrPdO3 at its relaxed geometry, with properties calculated at the GGA-PBE level.

Summary:
- DFT total energy (eV per atom) = -6.24
- ΔE_f (eV per atom) = -2.2656
- SG = C2/m

Unit cell a=7.012 b=7.012 c=7.591 alpha=104.47 beta=104.47 gamma=33.06
Sites, in units of the cell vectors:
K 0.143 0.143 0.065
K 0.857 0.857 0.935
Pr 0.150 0.150 0.580
Pr 0.850 0.850 0.420
Pd 0.493 0.493 0.728
Pd 0.507 0.507 0.272
O 0.007 0.007 0.310
O 0.332 0.332 0.634
O 0.348 0.348 0.219
O 0.652 0.652 0.781
O 0.668 0.668 0.366
O 0.993 0.993 0.690

***

# 7
Below is crystalline K2PdS6O21 at its relaxed geometry, with properties calculated at the GGA-PBE level.

Summary:
- DFT total energy (eV per atom) = -5.81
- ΔE_f (eV per atom) = -1.7553
- SG = P-1

Unit cell a=11.667 b=11.681 c=16.852 alpha=70.04 beta=78.98 gamma=61.10
Sites, in units of the cell vectors:
K 0.194 0.408 0.111
K 0.246 0.106 0.420
K 0.273 0.580 0.365
K 0.286 0.905 0.078
K 0.714 0.095 0.922
K 0.727 0.420 0.635
K 0.754 0.894 0.580
K 0.806 0.592 0.889
Pd 0.247 0.753 0.735
Pd 0.250 0.235 0.764
Pd 0.750 0.765 0.236
Pd 0.753 0.247 0.265
S 0.012 0.520 0.680
S 0.035 0.169 0.883
S 0.036 0.043 0.630
S 0.056 0.132 0.237
S 0.147 0.305 0.940
S 0.178 0.347 0.573
S 0.307 0.671 0.927
S 0.347 0.682 0.564
S 0.451 0.845 0.275
S 0.464 0.465 0.840
S 0.467 0.819 0.611
S 0.485 0.947 0.850
S 0.515 0.053 0.150
S 0.533 0.181 0.389
S 0.536 0.535 0.160
S 0.549 0.155 0.725
S 0.653 0.318 0.436
S 0.693 0.329 0.073
S 0.822 0.653 0.427
S 0.853 0.695 0.060
S 0.944 0.868 0.763
S 0.964 0.957 0.370
S 0.965 0.831 0.117
S 0.988 0.480 0.320
O 0.000 0.348 0.370
O 0.000 0.652 0.630
O 0.019 0.294 0.918
O 0.031 0.431 0.616
O 0.043 0.827 0.354
O 0.051 0.045 0.338
O 0.075 0.038 0.545
O 0.076 0.740 0.773
O 0.077 0.047 0.186
O 0.086 0.207 0.792
O 0.098 0.450 0.918
O 0.098 0.487 0.267
O 0.098 0.802 0.121
O 0.124 0.042 0.937
O 0.143 0.442 0.724
O 0.147 0.301 0.515
O 0.147 0.961 0.692
O 0.154 0.174 0.236
O 0.181 0.225 0.026
O 0.229 0.600 0.962
O 0.231 0.726 0.625
O 0.238 0.437 0.543
O 0.245 0.221 0.647
O 0.257 0.787 0.845
O 0.259 0.231 0.884
O 0.297 0.707 0.485
O 0.337 0.546 0.791
O 0.342 0.722 0.980
O 0.359 0.798 0.273
O 0.368 0.028 0.793
O 0.392 0.806 0.542
O 0.393 0.265 0.397
O 0.411 0.270 0.730
O 0.418 0.548 0.209
O 0.420 0.963 0.590
O 0.425 0.750 0.698
O 0.432 0.178 0.173
O 0.434 0.913 0.337
O 0.437 0.956 0.180
O 0.451 0.563 0.896
O 0.457 0.555 0.599
O 0.457 0.939 0.938
O 0.459 0.343 0.896
O 0.541 0.657 0.104
O 0.543 0.061 0.062
O 0.543 0.445 0.401
O 0.549 0.437 0.104
O 0.563 0.044 0.820
O 0.566 0.087 0.663
O 0.568 0.822 0.827
O 0.575 0.250 0.302
O 0.580 0.037 0.410
O 0.582 0.452 0.791
O 0.589 0.730 0.270
O 0.607 0.735 0.603
O 0.608 0.194 0.458
O 0.632 0.972 0.207
O 0.641 0.202 0.727
O 0.658 0.278 0.020
O 0.663 0.454 0.209
O 0.703 0.293 0.515
O 0.741 0.769 0.116
O 0.743 0.213 0.155
O 0.755 0.779 0.353
O 0.762 0.563 0.457
O 0.769 0.274 0.375
O 0.771 0.400 0.038
O 0.819 0.775 0.974
O 0.846 0.826 0.764
O 0.853 0.039 0.308
O 0.853 0.699 0.485
O 0.857 0.558 0.276
O 0.876 0.958 0.063
O 0.902 0.198 0.879
O 0.902 0.513 0.733
O 0.902 0.550 0.082
O 0.914 0.793 0.208
O 0.923 0.953 0.814
O 0.924 0.260 0.227
O 0.925 0.962 0.455
O 0.949 0.955 0.662
O 0.957 0.173 0.646
O 0.969 0.569 0.384
O 0.981 0.706 0.082

***

# 8
Below is crystalline KPrSmSbO6 at its relaxed geometry, with properties calculated at the GGA-PBE level.

Summary:
- DFT total energy (eV per atom) = -6.79
- ΔE_f (eV per atom) = -2.7554
- SG = F-43m

Unit cell a=5.987 b=5.987 c=5.987 alpha=60.00 beta=60.00 gamma=60.00
Sites, in units of the cell vectors:
K 0.000 0.000 0.000
Pr 0.500 0.500 0.500
Sm 0.250 0.250 0.250
Sb 0.750 0.750 0.750
O 0.515 0.515 0.985
O 0.515 0.985 0.515
O 0.515 0.985 0.985
O 0.985 0.515 0.515
O 0.985 0.515 0.985
O 0.985 0.985 0.515

***

# 9
Below is crystalline KSrPrSbO6 at its relaxed geometry, with properties calculated at the GGA-PBE level.

Summary:
- DFT total energy (eV per atom) = -6.28
- ΔE_f (eV per atom) = -2.5509
- SG = F-43m

Unit cell a=6.125 b=6.125 c=6.125 alpha=60.00 beta=60.00 gamma=60.00
Sites, in units of the cell vectors:
K 0.000 0.000 0.000
Sr 0.500 0.500 0.500
Pr 0.750 0.750 0.750
Sb 0.250 0.250 0.250
O 0.019 0.019 0.481
O 0.019 0.481 0.019
O 0.019 0.481 0.481
O 0.481 0.019 0.019
O 0.481 0.019 0.481
O 0.481 0.481 0.019

***

# 10
Below is crystalline KSrPrSbO6 at its relaxed geometry, with properties calculated at the GGA-PBE level.

Summary:
- DFT total energy (eV per atom) = -6.30
- ΔE_f (eV per atom) = -2.5684
- SG = Pnnn

Unit cell a=8.615 b=8.632 c=8.658 alpha=90.00 beta=90.00 gamma=90.00
Sites, in units of the cell vectors:
K 0.250 0.250 0.250
K 0.250 0.750 0.750
K 0.750 0.250 0.250
K 0.750 0.750 0.750
Sr 0.250 0.250 0.750
Sr 0.250 0.750 0.250
Sr 0.750 0.250 0.750
Sr 0.750 0.750 0.250
Pr 0.000 0.000 0.000
Pr 0.000 0.500 0.500
Pr 0.500 0.000 0.500
Pr 0.500 0.500 0.000
Sb 0.000 0.000 0.500
Sb 0.000 0.500 0.000
Sb 0.500 0.000 0.000
Sb 0.500 0.500 0.500
O 0.020 0.230 0.536
O 0.020 0.270 0.964
O 0.023 0.010 0.270
O 0.023 0.490 0.230
O 0.230 0.521 0.982
O 0.230 0.979 0.518
O 0.270 0.521 0.518
O 0.270 0.979 0.982
O 0.477 0.010 0.230
O 0.477 0.490 0.270
O 0.480 0.230 0.964
O 0.480 0.270 0.536
O 0.520 0.730 0.464
O 0.520 0.770 0.036
O 0.523 0.510 0.730
O 0.523 0.990 0.770
O 0.730 0.021 0.018
O 0.730 0.479 0.482
O 0.770 0.021 0.482
O 0.770 0.479 0.018
O 0.977 0.510 0.770
O 0.977 0.990 0.730
O 0.980 0.730 0.036
O 0.980 0.770 0.464

***

# 11
Below is crystalline KPrYSbO6 at its relaxed geometry, with properties calculated at the GGA-PBE level.

Summary:
- DFT total energy (eV per atom) = -7.02
- ΔE_f (eV per atom) = -2.8187
- SG = F-43m

Unit cell a=5.912 b=5.912 c=5.912 alpha=60.00 beta=60.00 gamma=60.00
Sites, in units of the cell vectors:
K 0.000 0.000 0.000
Pr 0.500 0.500 0.500
Y 0.750 0.750 0.750
Sb 0.250 0.250 0.250
O 0.013 0.013 0.487
O 0.013 0.487 0.013
O 0.013 0.487 0.487
O 0.487 0.013 0.013
O 0.487 0.013 0.487
O 0.487 0.487 0.013

***

# 12
Below is crystalline KPrSn4O12 at its relaxed geometry, with properties calculated at the GGA-PBE level.

Summary:
- DFT total energy (eV per atom) = -5.91
- ΔE_f (eV per atom) = -1.8527
- SG = Amm2

Unit cell a=8.183 b=5.779 c=5.779 alpha=90.09 beta=90.00 gamma=90.00
Sites, in units of the cell vectors:
K 0.000 0.000 0.000
Pr 0.500 0.478 0.478
Sn 0.245 0.495 0.986
Sn 0.245 0.986 0.495
Sn 0.755 0.495 0.986
Sn 0.755 0.986 0.495
O 0.000 0.522 0.977
O 0.000 0.977 0.522
O 0.246 0.237 0.237
O 0.280 0.264 0.718
O 0.280 0.718 0.264
O 0.303 0.728 0.728
O 0.500 0.044 0.467
O 0.500 0.467 0.044
O 0.697 0.728 0.728
O 0.720 0.264 0.718
O 0.720 0.718 0.264
O 0.754 0.237 0.237

***

# 13
Below is crystalline KPrTi4O12 at its relaxed geometry, with properties calculated at the GGA-PBE level.

Summary:
- DFT total energy (eV per atom) = -7.83
- ΔE_f (eV per atom) = -2.9103
- SG = Amm2

Unit cell a=7.877 b=5.496 c=5.496 alpha=90.00 beta=90.00 gamma=90.00
Sites, in units of the cell vectors:
K 0.000 0.000 0.000
Pr 0.500 0.496 0.496
Ti 0.240 0.500 0.999
Ti 0.240 0.999 0.500
Ti 0.760 0.500 0.999
Ti 0.760 0.999 0.500
O 0.000 0.507 0.993
O 0.000 0.993 0.507
O 0.257 0.252 0.252
O 0.267 0.261 0.738
O 0.267 0.738 0.261
O 0.275 0.743 0.743
O 0.500 0.016 0.491
O 0.500 0.491 0.016
O 0.725 0.743 0.743
O 0.733 0.261 0.738
O 0.733 0.738 0.261
O 0.743 0.252 0.252